# 1
VASP calculation (GGA-PBE) on a relaxed structure of KCa2Nb3O10.

Geometry as POSCAR:
```
KCa2Nb3O10
1.0
1.976 -14.968 0.000
1.976 14.968 0.000
0.000 0.000 7.872
K Ca Nb O
2 4 6 20
Direct
0.243 0.757 0.500
0.757 0.243 0.000
0.072 0.928 0.510
0.076 0.924 0.004
0.924 0.076 0.504
0.928 0.072 0.010
0.356 0.644 0.755
0.358 0.642 0.248
0.498 0.502 0.747
0.502 0.498 0.247
0.642 0.358 0.748
0.644 0.356 0.255
0.000 0.000 0.211
0.000 0.000 0.711
0.126 0.874 0.745
0.128 0.872 0.256
0.297 0.703 0.790
0.299 0.701 0.209
0.359 0.641 0.500
0.382 0.618 0.000
0.435 0.565 0.680
0.438 0.562 0.304
0.482 0.518 0.983
0.518 0.482 0.483
0.562 0.438 0.804
0.565 0.435 0.180
0.618 0.382 0.500
0.641 0.359 0.000
0.701 0.299 0.709
0.703 0.297 0.290
0.872 0.128 0.756
0.874 0.126 0.245
```

Excess energy over the best structure of this formula in the dataset: 7 meV/atom

# 2
VASP calculation (GGA-PBE) on a relaxed structure of KCa2Nb3O10.

Geometry as POSCAR:
```
KCa2Nb3O10
1.0
7.855 0.000 0.000
0.000 7.808 0.000
-1.853 0.000 15.077
K Ca Nb O
4 8 12 40
Direct
0.131 0.250 0.010
0.364 0.750 0.977
0.636 0.250 0.023
0.869 0.750 0.990
0.202 0.750 0.351
0.216 0.250 0.351
0.288 0.750 0.638
0.293 0.250 0.658
0.707 0.750 0.342
0.712 0.250 0.362
0.784 0.750 0.649
0.798 0.250 0.649
0.000 0.000 0.500
0.000 0.500 0.500
0.068 0.505 0.786
0.068 0.995 0.786
0.429 0.003 0.213
0.429 0.497 0.213
0.500 0.000 0.500
0.500 0.500 0.500
0.571 0.503 0.787
0.571 0.997 0.787
0.932 0.005 0.214
0.932 0.495 0.214
0.044 0.250 0.469
0.048 0.250 0.781
0.058 0.051 0.627
0.058 0.449 0.627
0.070 0.750 0.737
0.083 0.545 0.903
0.083 0.955 0.903
0.191 0.012 0.255
0.191 0.488 0.255
0.247 0.567 0.489
0.247 0.933 0.489
0.315 0.011 0.769
0.315 0.489 0.769
0.388 0.033 0.095
0.388 0.467 0.095
0.416 0.750 0.226
0.436 0.250 0.475
0.453 0.250 0.258
0.500 0.036 0.628
0.500 0.464 0.628
0.500 0.536 0.372
0.500 0.964 0.372
0.547 0.750 0.742
0.564 0.750 0.525
0.584 0.250 0.774
0.612 0.533 0.905
0.612 0.967 0.905
0.685 0.511 0.231
0.685 0.989 0.231
0.753 0.067 0.511
0.753 0.433 0.511
0.809 0.512 0.745
0.809 0.988 0.745
0.917 0.045 0.097
0.917 0.455 0.097
0.930 0.250 0.263
0.942 0.551 0.373
0.942 0.949 0.373
0.952 0.750 0.219
0.956 0.750 0.531
```

Excess energy over the best structure of this formula in the dataset: 0 meV/atom

# 3
VASP calculation (GGA-PBE) on a relaxed structure of KCaZrNbO6.

Geometry as POSCAR:
```
KCaZrNbO6
1.0
0.000 4.111 4.111
4.111 0.000 4.111
4.111 4.111 0.000
K Ca Zr Nb O
1 1 1 1 6
Direct
0.000 0.000 0.000
0.500 0.500 0.500
0.750 0.750 0.750
0.250 0.250 0.250
0.006 0.006 0.494
0.006 0.494 0.006
0.006 0.494 0.494
0.494 0.006 0.006
0.494 0.006 0.494
0.494 0.494 0.006
```

# 4
VASP calculation (GGA-PBE) on a relaxed structure of KCaNi2.

Geometry as POSCAR:
```
KCaNi2
1.0
0.000 3.522 3.522
3.522 0.000 3.522
3.522 3.522 0.000
K Ca Ni
1 1 2
Direct
0.000 0.000 0.000
0.500 0.500 0.500
0.250 0.250 0.250
0.750 0.750 0.750
```

Which calculated total energy belongs to each record? In order, -8.03 -8.03 -7.92 -3.03 eV per atom.